Material: V4O7
Method: DFT, GGA+U
State: optimized geometry

Computed properties:
crystal system: triclinic
uncorrected energy: -7.887 eV/atom

Cell lengths 5.6748, 6.9317, 7.1104 Å; angles 64.45, 70.00, 75.06 degrees
Fractional coordinates of all 22 atoms:
V 0.1838 0.0925 0.2596
V 0.1899 0.0952 0.7551
V 0.2852 0.6206 0.5853
V 0.2852 0.6269 0.0837
V 0.7148 0.3731 0.9163
V 0.7148 0.3794 0.4147
V 0.8101 0.9048 0.2449
V 0.8162 0.9075 0.7404
O 0.0183 0.1714 0.5241
O 0.0830 0.3846 0.7601
O 0.1779 0.7776 0.7952
O 0.1998 0.9444 0.0640
O 0.3584 0.3337 0.0896
O 0.4005 0.5320 0.3391
O 0.4828 0.8890 0.3637
O 0.5172 0.1110 0.6363
O 0.5995 0.4680 0.6609
O 0.6416 0.6663 0.9104
O 0.8002 0.0556 0.9360
O 0.8221 0.2224 0.2048
O 0.9170 0.6154 0.2399
O 0.9817 0.8286 0.4759


Material: V16O3
Method: DFT, GGA+U
State: optimized geometry

Computed properties:
magnetic moment: 2.416 μB/atom
crystal system: tetragonal
uncorrected energy: -6.162 eV/atom

Cell lengths 9.6719, 9.6719, 9.6719 Å; angles 101.11, 101.11, 127.92 degrees
Fractional coordinates of all 38 atoms:
V 0.0000 0.0000 0.0000
V 0.0000 0.2489 0.2489
V 0.0000 0.5000 0.5000
V 0.0000 0.7511 0.7511
V 0.1182 0.1182 0.7524
V 0.1182 0.3658 0.0000
V 0.1249 0.6249 0.2497
V 0.1249 0.8751 0.5000
V 0.2471 0.5000 0.7471
V 0.2489 0.0000 0.2489
V 0.2494 0.2494 0.4988
V 0.2494 0.7506 0.0000
V 0.3658 0.1182 0.0000
V 0.3658 0.3658 0.2476
V 0.3751 0.6249 0.5000
V 0.3751 0.8751 0.7503
V 0.5000 0.0000 0.5000
V 0.5000 0.2471 0.7471
V 0.5000 0.5000 0.0000
V 0.5000 0.7529 0.2529
V 0.6249 0.1249 0.2497
V 0.6249 0.3751 0.5000
V 0.6342 0.6342 0.7524
V 0.6342 0.8818 0.0000
V 0.7511 0.0000 0.7511
V 0.7506 0.2494 0.0000
V 0.7506 0.7506 0.5012
V 0.7529 0.5000 0.2529
V 0.8751 0.1249 0.5000
V 0.8751 0.3751 0.7503
V 0.8818 0.6342 0.0000
V 0.8818 0.8818 0.2476
O 0.2500 0.7500 0.5000
O 0.3753 0.3753 0.7506
O 0.3753 0.6247 0.0000
O 0.6247 0.3753 0.0000
O 0.6247 0.6247 0.2494
O 0.7500 0.2500 0.5000


Material: VO2
Method: DFT, GGA+U
State: optimized geometry

Computed properties:
magnetic moment: 0.333 μB/atom
crystal system: triclinic
uncorrected energy: -7.727 eV/atom

Cell lengths 7.7290, 8.5981, 8.6490 Å; angles 89.83, 89.96, 89.94 degrees
Fractional coordinates of all 48 atoms:
V 0.0000 0.0000 0.0000
V 0.0007 0.9999 0.4011
V 0.0019 0.2973 0.7004
V 0.0046 0.7034 0.6998
V 0.2499 0.2091 0.1937
V 0.2514 0.5091 0.8955
V 0.2522 0.5086 0.4888
V 0.2534 0.8096 0.1929
V 0.4995 0.7217 0.7014
V 0.5006 0.3103 0.7087
V 0.5033 0.0139 0.0081
V 0.5025 0.0204 0.4036
V 0.7488 0.8104 0.1937
V 0.7503 0.5179 0.4988
V 0.7523 0.5119 0.8964
V 0.7550 0.2207 0.2038
O 0.0011 0.1755 0.5456
O 0.0009 0.1776 0.8582
O 0.0012 0.5126 0.8498
O 0.0015 0.8579 0.5402
O 0.0011 0.8591 0.8630
O 0.0012 0.8607 0.2028
O 0.0080 0.5100 0.5488
O 0.2454 0.3569 0.7010
O 0.2508 0.0121 0.0516
O 0.2511 0.0116 0.3483
O 0.2509 0.3536 0.3669
O 0.2520 0.3463 0.0508
O 0.2520 0.6713 0.0512
O 0.2529 0.6665 0.3691
O 0.2583 0.6622 0.7006
O 0.4954 0.5023 0.5499
O 0.5011 0.8438 0.5444
O 0.5010 0.8613 0.2027
O 0.5021 0.1644 0.5383
O 0.5018 0.1711 0.8520
O 0.5023 0.5064 0.8487
O 0.5024 0.8436 0.8539
O 0.5078 0.1631 0.2058
O 0.7457 0.6611 0.6956
O 0.7507 0.6628 0.3646
O 0.7513 0.6710 0.0504
O 0.7515 0.0055 0.3502
O 0.7522 0.0089 0.0513
O 0.7516 0.3437 0.0509
O 0.7527 0.3432 0.3603
O 0.7574 0.3596 0.6989
O 0.9960 0.1613 0.2036


Material: VO2
Method: DFT, GGA+U
State: optimized geometry

Computed properties:
magnetic moment: 0.333 μB/atom
crystal system: trigonal
uncorrected energy: -7.567 eV/atom

Cell lengths 5.8673, 5.8673, 5.8673 Å; angles 60.59, 60.59, 60.59 degrees
Fractional coordinates of all 12 atoms:
V 0.0000 0.0000 0.0000
V 0.3872 0.3872 0.8567
V 0.3872 0.8567 0.3872
V 0.8567 0.3872 0.3872
O 0.1222 0.1222 0.6227
O 0.1222 0.6227 0.1222
O 0.1354 0.1354 0.1354
O 0.1695 0.6351 0.6351
O 0.6217 0.6217 0.6217
O 0.6227 0.1222 0.1222
O 0.6351 0.1695 0.6351
O 0.6351 0.6351 0.1695


Q: What is the formula in the third record?
A: VO2


Q: Which of these has the highest uncorrected energy?
A: V16O3


Q: Which of these has the highest uncorrected energy?
A: V16O3


Q: Among the records above, which one has the lowest uncorrected energy?
A: V4O7